Below is crystalline La3IrO7 at its relaxed geometry, with properties calculated at the PBE-GGA level.

POSCAR file:
```
La3IrO7
1.0
-5.5666 -0.2098 1.5819
2.1138 -5.4776 6.7120
4.9602 15.3888 19.4950
O Ir La
56 8 24
direct
0.6517 0.7436 0.2796
0.4613 0.2582 0.9964
0.9601 0.1909 0.9854
0.1517 0.2564 0.2204
0.8215 0.5639 0.2123
0.0398 0.5096 0.1202
0.5028 0.1840 0.1082
0.3235 0.0118 0.9515
0.5387 0.7418 0.0036
0.1765 0.0118 0.4515
0.8313 0.0074 0.2101
0.9594 0.1692 0.8577
0.5398 0.4904 0.3798
0.4725 0.1904 0.8356
0.9602 0.4904 0.8798
0.0275 0.1904 0.3356
0.5275 0.8096 0.1644
0.9613 0.7418 0.5036
0.7804 0.4267 0.0364
0.9857 0.5001 0.6261
0.1207 0.7592 0.2492
0.4702 0.1805 0.5952
0.0399 0.8091 0.0146
0.0406 0.8308 0.1423
0.9702 0.8195 0.9048
0.0028 0.8160 0.3918
0.5406 0.1692 0.3577
0.1687 0.9926 0.7899
0.0298 0.1805 0.0952
0.2196 0.5733 0.9636
0.9972 0.1840 0.6082
0.8483 0.7436 0.7796
0.0387 0.2582 0.4964
0.6785 0.5639 0.7123
0.2804 0.5733 0.4636
0.3313 0.9926 0.2899
0.1785 0.4361 0.7877
0.0143 0.4999 0.3739
0.7196 0.4267 0.5364
0.4602 0.5096 0.6202
0.3793 0.7592 0.7492
0.9725 0.8096 0.6644
0.3483 0.2564 0.7204
0.5143 0.5001 0.1261
0.8793 0.2408 0.7508
0.8235 0.9882 0.5485
0.6687 0.0074 0.7101
0.6765 0.9882 0.0485
0.5399 0.1909 0.4854
0.4972 0.8160 0.8918
0.3215 0.4361 0.2877
0.4594 0.8308 0.6423
0.6207 0.2408 0.2508
0.5298 0.8195 0.4048
0.4601 0.8091 0.5146
0.4857 0.4999 0.8739
0.7605 0.2062 0.5462
0.8209 0.7864 0.2090
0.2605 0.7938 0.9538
0.2395 0.7938 0.4538
0.1791 0.2136 0.7910
0.7395 0.2062 0.0462
0.3209 0.2136 0.2910
0.6791 0.7864 0.7090
0.7793 0.5740 0.4401
0.7560 0.9844 0.9513
0.7333 0.4296 0.8094
0.7943 0.2992 0.1622
0.7667 0.4296 0.3094
0.7193 0.9972 0.8076
0.2793 0.4260 0.0599
0.7807 0.9972 0.3076
0.7650 0.7086 0.0892
0.2440 0.0156 0.0487
0.7207 0.5740 0.9401
0.7440 0.9844 0.4513
0.2943 0.7008 0.3378
0.2193 0.0028 0.6924
0.2560 0.0156 0.5487
0.2350 0.2914 0.9108
0.2667 0.5704 0.1906
0.7057 0.2992 0.6622
0.2807 0.0028 0.1924
0.2333 0.5704 0.6906
0.2650 0.2914 0.4108
0.7350 0.7086 0.5892
0.2057 0.7008 0.8378
0.2207 0.4260 0.5599
```

The total energy is -7.918 eV per atom. The magnetic moment is 16.2 μB/cell.

***

Below is crystalline La3IrO7 at its relaxed geometry, with properties calculated at the PBE-GGA level.

POSCAR file:
```
La3IrO7
1.0
3.5266 5.3971 -2.0653
-4.9328 1.6542 4.3315
4.8412 -0.9193 5.8642
O La Ir
14 6 2
direct
0.8081 0.5571 0.4584
0.8081 0.5571 0.0416
0.1919 0.4429 0.5416
0.8392 0.1000 0.7500
0.5571 0.8081 0.4584
0.4429 0.1919 0.9584
0.5873 0.5873 0.7500
0.9000 0.1608 0.2500
0.5571 0.8081 0.0416
0.1608 0.9000 0.2500
0.1000 0.8392 0.7500
0.1919 0.4429 0.9584
0.4127 0.4127 0.2500
0.4429 0.1919 0.5416
0.9086 0.4658 0.7500
0.5342 0.0914 0.2500
0.0914 0.5342 0.2500
0.4658 0.9086 0.7500
0.0000 0.0000 0.0000
0.0000 0.0000 0.5000
0.5000 0.5000 0.0000
0.5000 0.5000 0.5000
```

The total energy is -7.939 eV per atom.

***

Below is crystalline RbLa9Ir4O24 at its relaxed geometry, with properties calculated at the PBE-GGA level.

POSCAR file:
```
RbLa9Ir4O24
1.0
-4.0492 -8.9300 -3.7887
0.6933 -8.4620 6.1975
-3.2115 9.9529 1.0587
O La Ir Rb
24 9 4 1
direct
0.4916 0.9534 0.2685
0.6849 0.2231 0.7315
0.9892 0.2960 0.8161
0.7127 0.8691 0.5818
0.8691 0.2873 0.1563
0.8724 0.8724 0.0000
0.0108 0.7040 0.1839
0.4799 0.1731 0.1839
0.0466 0.3151 0.5382
0.2231 0.4916 0.5382
0.5201 0.8269 0.8161
0.1309 0.7127 0.8437
0.7040 0.5201 0.6932
0.1276 0.1276 0.0000
0.7769 0.5084 0.4618
0.5084 0.0466 0.7315
0.8269 0.0108 0.3068
0.9534 0.6849 0.4618
0.1731 0.9892 0.6932
0.2960 0.4799 0.3068
0.2873 0.1309 0.4182
0.6503 0.6503 0.0000
0.3151 0.7769 0.2685
0.3497 0.3497 0.0000
0.0000 0.0000 0.0000
0.3251 0.8301 0.8659
0.1699 0.0358 0.4950
0.0358 0.5409 0.8659
0.4591 0.3251 0.4950
0.5409 0.6749 0.5050
0.9642 0.4591 0.1341
0.8301 0.9642 0.5050
0.6749 0.1699 0.1341
0.5000 0.0000 0.5000
0.7595 0.7595 0.0000
0.0000 0.5000 0.5000
0.2405 0.2405 0.0000
0.5000 0.5000 0.0000
```

The total energy is -7.668 eV per atom. The magnetic moment is 8.0 μB/cell.

***

Below is crystalline La2ZnIrO6 at its relaxed geometry, with properties calculated at the PBE-GGA level.

POSCAR file:
```
La2ZnIrO6
1.0
-5.7905 0.5931 -0.1553
0.0296 -1.1431 -5.4720
-0.8085 -8.9002 -3.8426
O La Ir Zn
12 4 2 2
direct
0.7089 0.2421 0.4481
0.0281 0.1507 0.2535
0.9719 0.8493 0.7465
0.3022 0.3472 0.9498
0.8022 0.6528 0.5502
0.5281 0.8493 0.2465
0.4719 0.1507 0.7535
0.7911 0.2421 0.9481
0.6978 0.6528 0.0502
0.2911 0.7579 0.5519
0.1978 0.3472 0.4498
0.2089 0.7579 0.0519
0.5595 0.7340 0.7510
0.4405 0.2660 0.2490
0.0595 0.2660 0.7490
0.9405 0.7340 0.2510
0.0000 0.0000 0.5000
0.5000 0.0000 0.0000
0.5000 0.5000 0.5000
0.0000 0.5000 0.0000
```

The total energy is -7.207 eV per atom. The magnetic moment is 2.0 μB/cell.

***

Below is crystalline La5P12Ir19 at its relaxed geometry, with properties calculated at the PBE-GGA level.

POSCAR file:
```
La5P12Ir19
1.0
6.4251 -11.1286 0.0000
6.4251 11.1286 0.0000
0.0000 0.0000 4.0463
Ir La P
19 5 12
direct
0.3625 0.4913 0.5000
0.0000 0.4599 0.0000
0.7132 0.7132 0.5000
0.0000 0.0000 0.0000
0.8013 0.6207 0.0000
0.0000 0.2868 0.5000
0.8194 0.1987 0.0000
0.8712 0.5087 0.5000
0.5401 0.5401 0.0000
0.5087 0.8712 0.5000
0.4913 0.3625 0.5000
0.1806 0.3793 0.0000
0.3793 0.1806 0.0000
0.6375 0.1288 0.5000
0.4599 0.0000 0.0000
0.2868 0.0000 0.5000
0.1987 0.8194 0.0000
0.6207 0.8013 0.0000
0.1288 0.6375 0.5000
0.3333 0.6667 0.0000
0.0000 0.8137 0.5000
0.8137 0.0000 0.5000
0.1863 0.1863 0.5000
0.6667 0.3333 0.0000
0.3105 0.8294 0.5000
0.4811 0.1706 0.5000
0.0000 0.6371 0.0000
0.8181 0.8181 0.0000
0.6371 0.0000 0.0000
0.8294 0.3105 0.5000
0.3629 0.3629 0.0000
0.1706 0.4811 0.5000
0.6895 0.5189 0.5000
0.1819 0.0000 0.0000
0.0000 0.1819 0.0000
0.5189 0.6895 0.5000
```

The total energy is -7.943 eV per atom. The magnetic moment is 0.3 μB/cell.

***

Below is crystalline LaPIr at its relaxed geometry, with properties calculated at the PBE-GGA level.

POSCAR file:
```
LaPIr
1.0
4.1709 0.0000 0.0000
0.0000 4.1709 0.0000
-2.0854 -2.0854 7.1928
P La Ir
2 2 2
direct
0.8331 0.3331 0.6662
0.5831 0.5831 0.1662
0.2545 0.7545 0.5090
0.0045 0.0045 0.0090
0.4160 0.4160 0.8320
0.6660 0.1660 0.3320
```

The total energy is -7.594 eV per atom.

***

Below is crystalline LaSbIr at its relaxed geometry, with properties calculated at the PBE-GGA level.

POSCAR file:
```
LaSbIr
1.0
4.6662 0.0000 0.0000
0.0000 7.5649 0.0000
0.0000 0.0000 8.0272
Ir Sb La
4 4 4
direct
0.7500 0.7026 0.4060
0.2500 0.7974 0.9060
0.2500 0.2974 0.5940
0.7500 0.2026 0.0940
0.7500 0.3293 0.4153
0.7500 0.8293 0.0847
0.2500 0.6707 0.5847
0.2500 0.1707 0.9153
0.7500 0.9788 0.6890
0.7500 0.4788 0.8110
0.2500 0.0212 0.3110
0.2500 0.5212 0.1890
```

The total energy is -6.862 eV per atom.

***

Below is crystalline LaSi3Ir at its relaxed geometry, with properties calculated at the PBE-GGA level.

POSCAR file:
```
LaSi3Ir
1.0
-4.2549 0.0110 -0.5878
0.5830 -0.4768 -4.2288
1.7481 -4.6979 2.9521
Si Ir La
3 1 1
direct
0.7624 0.2624 0.5248
0.2624 0.7624 0.5248
0.4126 0.4126 0.8253
0.6541 0.6541 0.3081
0.9980 0.9980 0.9960
```

The total energy is -6.871 eV per atom.

***

Question: What is the formula in the third record?
Answer: RbLa9Ir4O24